# 1
Below is a geometry-optimized LiFePO4 structure, with properties calculated at the PBE with a Hubbard U level.

Structure (CIF):
```
data_LiFePO4
_chemical_formula_sum 'Li6 Fe6 P6 O24'
_symmetry_space_group_name_H-M 'P 1'
_symmetry_Int_Tables_number 1
_cell_length_a 5.259
_cell_length_b 5.261
_cell_length_c 26.513
_cell_angle_alpha 90.00
_cell_angle_beta 90.00
_cell_angle_gamma 119.97
loop_
_symmetry_equiv_pos_as_xyz
'x,y,z'
loop_
_atom_site_label
_atom_site_type_symbol
_atom_site_fract_x
_atom_site_fract_y
_atom_site_fract_z
_atom_site_occupancy
Li1 Li 0.000 0.000 0.083 1
Li2 Li 0.000 0.000 0.583 1
Li3 Li 0.000 0.000 0.250 1
Li4 Li 0.000 0.000 0.750 1
Li5 Li 0.000 0.000 0.417 1
Li6 Li 0.000 0.000 0.917 1
Fe1 Fe 0.000 0.500 0.833 1
Fe2 Fe 0.500 0.500 0.667 1
Fe3 Fe 0.500 0.000 0.500 1
Fe4 Fe 0.000 0.500 0.333 1
Fe5 Fe 0.500 0.500 0.167 1
Fe6 Fe 0.500 0.000 0.000 1
P1 P 0.000 0.500 0.083 1
P2 P 0.000 0.500 0.583 1
P3 P 0.500 0.500 0.417 1
P4 P 0.500 0.500 0.917 1
P5 P 0.500 0.000 0.250 1
P6 P 0.500 0.000 0.750 1
O1 O 0.183 0.778 0.051 1
O2 O 0.183 0.778 0.551 1
O3 O 0.222 0.817 0.283 1
O4 O 0.222 0.817 0.783 1
O5 O 0.183 0.405 0.116 1
O6 O 0.183 0.405 0.616 1
O7 O 0.222 0.405 0.384 1
O8 O 0.222 0.405 0.884 1
O9 O 0.595 0.778 0.449 1
O10 O 0.595 0.778 0.949 1
O11 O 0.595 0.817 0.217 1
O12 O 0.595 0.817 0.717 1
O13 O 0.405 0.183 0.217 1
O14 O 0.405 0.183 0.717 1
O15 O 0.405 0.222 0.449 1
O16 O 0.405 0.222 0.949 1
O17 O 0.817 0.595 0.116 1
O18 O 0.817 0.595 0.616 1
O19 O 0.778 0.595 0.384 1
O20 O 0.778 0.595 0.884 1
O21 O 0.817 0.222 0.051 1
O22 O 0.817 0.222 0.551 1
O23 O 0.778 0.183 0.283 1
O24 O 0.778 0.183 0.783 1
```

energy relative to the elements: -16.9 eV per formula unit
raw total energy: -284.844 eV/cell
piezoelectric modulus e_max: 0.4 C/m2

---

# 2
Below is a geometry-optimized LiFeP2O7 structure, with properties calculated at the PBE with a Hubbard U level.

Structure (CIF):
```
data_LiFeP2O7
_chemical_formula_sum 'Li8 Fe8 P16 O56'
_symmetry_space_group_name_H-M 'P 1'
_symmetry_Int_Tables_number 1
_cell_length_a 9.731
_cell_length_b 9.809
_cell_length_c 11.141
_cell_angle_alpha 89.63
_cell_angle_beta 78.49
_cell_angle_gamma 89.67
loop_
_symmetry_equiv_pos_as_xyz
'x,y,z'
loop_
_atom_site_label
_atom_site_type_symbol
_atom_site_fract_x
_atom_site_fract_y
_atom_site_fract_z
_atom_site_occupancy
Li1 Li 0.090 0.892 0.973 1
Li2 Li 0.405 0.393 0.029 1
Li3 Li 0.385 0.795 0.457 1
Li4 Li 0.590 0.603 0.971 1
Li5 Li 0.648 0.906 0.951 1
Li6 Li 0.910 0.110 0.028 1
Li7 Li 0.842 0.423 0.528 1
Li8 Li 0.886 0.716 0.453 1
Fe1 Fe 0.211 0.087 0.335 1
Fe2 Fe 0.248 0.797 0.176 1
Fe3 Fe 0.252 0.290 0.825 1
Fe4 Fe 0.290 0.575 0.668 1
Fe5 Fe 0.704 0.410 0.321 1
Fe6 Fe 0.750 0.704 0.177 1
Fe7 Fe 0.753 0.212 0.824 1
Fe8 Fe 0.790 0.928 0.664 1
P1 P 0.023 0.554 0.249 1
P2 P 0.115 0.288 0.118 1
P3 P 0.061 0.078 0.762 1
P4 P 0.123 0.855 0.574 1
P5 P 0.378 0.356 0.428 1
P6 P 0.437 0.575 0.239 1
P7 P 0.527 0.943 0.245 1
P8 P 0.383 0.789 0.881 1
P9 P 0.614 0.206 0.116 1
P10 P 0.476 0.055 0.747 1
P11 P 0.561 0.424 0.763 1
P12 P 0.622 0.648 0.577 1
P13 P 0.878 0.143 0.426 1
P14 P 0.937 0.926 0.238 1
P15 P 0.885 0.713 0.884 1
P16 P 0.976 0.447 0.754 1
O1 O 0.016 0.579 0.383 1
O2 O 0.032 0.149 0.433 1
O3 O 0.088 0.916 0.264 1
O4 O 0.104 0.413 0.214 1
O5 O 0.108 0.660 0.162 1
O6 O 0.182 0.175 0.184 1
O7 O 0.221 0.336 0.000 1
O8 O 0.026 0.739 0.909 1
O9 O 0.125 0.942 0.695 1
O10 O 0.059 0.059 0.896 1
O11 O 0.129 0.464 0.779 1
O12 O 0.189 0.718 0.598 1
O13 O 0.156 0.197 0.711 1
O14 O 0.214 0.925 0.465 1
O15 O 0.294 0.435 0.535 1
O16 O 0.346 0.698 0.294 1
O17 O 0.321 0.217 0.404 1
O18 O 0.373 0.960 0.220 1
O19 O 0.369 0.441 0.303 1
O20 O 0.436 0.565 0.104 1
O21 O 0.473 0.237 0.089 1
O22 O 0.276 0.836 0.999 1
O23 O 0.327 0.671 0.817 1
O24 O 0.394 0.912 0.784 1
O25 O 0.411 0.411 0.735 1
O26 O 0.394 0.157 0.842 1
O27 O 0.470 0.660 0.562 1
O28 O 0.534 0.900 0.372 1
O29 O 0.478 0.082 0.616 1
O30 O 0.535 0.350 0.429 1
O31 O 0.614 0.850 0.144 1
O32 O 0.591 0.585 0.265 1
O33 O 0.601 0.089 0.219 1
O34 O 0.685 0.322 0.173 1
O35 O 0.717 0.147 0.999 1
O36 O 0.525 0.767 0.912 1
O37 O 0.563 0.432 0.897 1
O38 O 0.620 0.566 0.704 1
O39 O 0.628 0.035 0.783 1
O40 O 0.689 0.785 0.596 1
O41 O 0.666 0.313 0.703 1
O42 O 0.719 0.566 0.477 1
O43 O 0.790 0.065 0.533 1
O44 O 0.845 0.804 0.296 1
O45 O 0.821 0.286 0.405 1
O46 O 0.869 0.539 0.220 1
O47 O 0.931 0.936 0.104 1
O48 O 0.868 0.061 0.302 1
O49 O 0.974 0.260 0.093 1
O50 O 0.776 0.665 0.002 1
O51 O 0.813 0.831 0.825 1
O52 O 0.893 0.343 0.846 1
O53 O 0.893 0.590 0.788 1
O54 O 0.908 0.089 0.735 1
O55 O 0.967 0.840 0.566 1
O56 O 0.971 0.421 0.624 1
```

energy relative to the elements: -26.9 eV per formula unit
raw total energy: -605.500 eV/cell

---

# 3
Below is a geometry-optimized LiFePO4 structure, with properties calculated at the PBE with a Hubbard U level.

Structure (CIF):
```
data_LiFePO4
_chemical_formula_sum 'Li8 Fe8 P8 O32'
_symmetry_space_group_name_H-M 'P 1'
_symmetry_Int_Tables_number 1
_cell_length_a 5.805
_cell_length_b 7.685
_cell_length_c 13.982
_cell_angle_alpha 90.00
_cell_angle_beta 90.00
_cell_angle_gamma 90.00
loop_
_symmetry_equiv_pos_as_xyz
'x,y,z'
loop_
_atom_site_label
_atom_site_type_symbol
_atom_site_fract_x
_atom_site_fract_y
_atom_site_fract_z
_atom_site_occupancy
Li1 Li 0.415 0.172 0.527 1
Li2 Li 0.915 0.172 0.973 1
Li3 Li 0.415 0.328 0.027 1
Li4 Li 0.915 0.328 0.473 1
Li5 Li 0.085 0.672 0.527 1
Li6 Li 0.585 0.672 0.973 1
Li7 Li 0.085 0.828 0.027 1
Li8 Li 0.585 0.828 0.473 1
Fe1 Fe 0.160 0.184 0.218 1
Fe2 Fe 0.660 0.184 0.282 1
Fe3 Fe 0.660 0.316 0.782 1
Fe4 Fe 0.160 0.316 0.718 1
Fe5 Fe 0.340 0.684 0.218 1
Fe6 Fe 0.840 0.684 0.282 1
Fe7 Fe 0.340 0.816 0.718 1
Fe8 Fe 0.840 0.816 0.782 1
P1 P 0.895 0.041 0.627 1
P2 P 0.395 0.041 0.873 1
P3 P 0.895 0.459 0.127 1
P4 P 0.395 0.459 0.373 1
P5 P 0.605 0.541 0.627 1
P6 P 0.105 0.541 0.873 1
P7 P 0.605 0.959 0.127 1
P8 P 0.105 0.959 0.373 1
O1 O 0.813 0.976 0.061 1
O2 O 0.313 0.976 0.439 1
O3 O 0.324 0.085 0.767 1
O4 O 0.824 0.085 0.733 1
O5 O 0.481 0.140 0.142 1
O6 O 0.981 0.140 0.358 1
O7 O 0.067 0.184 0.593 1
O8 O 0.567 0.184 0.907 1
O9 O 0.067 0.316 0.093 1
O10 O 0.567 0.316 0.407 1
O11 O 0.481 0.360 0.642 1
O12 O 0.981 0.360 0.858 1
O13 O 0.824 0.415 0.233 1
O14 O 0.324 0.415 0.267 1
O15 O 0.813 0.524 0.561 1
O16 O 0.313 0.524 0.939 1
O17 O 0.187 0.476 0.439 1
O18 O 0.687 0.476 0.061 1
O19 O 0.676 0.585 0.733 1
O20 O 0.176 0.585 0.767 1
O21 O 0.019 0.640 0.142 1
O22 O 0.519 0.640 0.358 1
O23 O 0.433 0.684 0.593 1
O24 O 0.933 0.684 0.907 1
O25 O 0.433 0.816 0.093 1
O26 O 0.933 0.816 0.407 1
O27 O 0.019 0.860 0.642 1
O28 O 0.519 0.860 0.858 1
O29 O 0.676 0.915 0.233 1
O30 O 0.176 0.915 0.267 1
O31 O 0.687 0.024 0.561 1
O32 O 0.187 0.024 0.939 1
```

energy relative to the elements: -16.8 eV per formula unit
raw total energy: -378.811 eV/cell

---

Result set for E above lowest polymorph: 0.067 0.080 0.084 eV per atom, one per record in the order listed.
Result set for theoretical density: 2.474 3.018 3.360 g cm⁻³, one per record in the order listed.
Result set for M_tot: 0.00 0.45 0.57 μB per atom, one per record in the order listed.